# 1
First-principles (PBE) data for Na2Zr12B2I5Cl23 after structural relaxation, as listed in Materials Project.

a b c (Å): 13.621 13.498 13.499
angles (deg): 89.97 90.00 90.00
Positions (direct):
Cl 0.228 0.738 0.381
Cl 0.875 0.098 0.284
Cl 0.635 0.480 0.239
Cl 0.134 0.020 0.239
Cl 0.130 0.598 0.718
Cl 0.033 0.380 0.598
Cl 0.730 0.261 0.118
Cl 0.125 0.098 0.784
Cl 0.347 0.717 0.618
Cl 0.013 0.618 0.477
Cl 0.270 0.261 0.618
Cl 0.653 0.717 0.118
Cl 0.153 0.282 0.378
Cl 0.365 0.480 0.739
Cl 0.152 0.782 0.118
Cl 0.534 0.619 0.903
Cl 0.345 0.220 0.879
Cl 0.870 0.598 0.218
Cl 0.866 0.020 0.739
Cl 0.369 0.402 0.282
Cl 0.367 0.902 0.217
Cl 0.730 0.761 0.381
Cl 0.847 0.282 0.878
Cl 0.227 0.239 0.117
Cl 0.030 0.879 0.904
Cl 0.131 0.523 0.261
Cl 0.486 0.883 0.977
Cl 0.514 0.382 0.020
Cl 0.486 0.382 0.520
Cl 0.466 0.619 0.403
Cl 0.655 0.220 0.379
Cl 0.633 0.902 0.717
Cl 0.538 0.126 0.597
Cl 0.772 0.738 0.881
Cl 0.270 0.761 0.881
Cl 0.869 0.523 0.761
Cl 0.970 0.879 0.404
Cl 0.967 0.380 0.098
Cl 0.848 0.782 0.618
Cl 0.631 0.402 0.782
Cl 0.773 0.239 0.617
Cl 0.987 0.618 0.977
Cl 0.514 0.883 0.477
Cl 0.012 0.118 0.021
Cl 0.988 0.118 0.521
Cl 0.462 0.126 0.097
Zr 0.294 0.067 0.152
Zr 0.600 0.542 0.064
Zr 0.204 0.433 0.653
Zr 0.295 0.561 0.348
Zr 0.199 0.938 0.848
Zr 0.187 0.650 0.545
Zr 0.313 0.345 0.454
Zr 0.706 0.067 0.652
Zr 0.401 0.051 0.937
Zr 0.796 0.433 0.153
Zr 0.902 0.451 0.937
Zr 0.312 0.850 0.044
Zr 0.400 0.542 0.564
Zr 0.815 0.155 0.453
Zr 0.902 0.957 0.565
Zr 0.813 0.650 0.045
Zr 0.599 0.051 0.437
Zr 0.098 0.957 0.065
Zr 0.688 0.850 0.544
Zr 0.801 0.938 0.348
Zr 0.705 0.561 0.848
Zr 0.687 0.345 0.954
Zr 0.185 0.155 0.953
Zr 0.098 0.451 0.437
I 0.116 0.369 0.869
I 0.888 0.863 0.137
I 0.628 0.983 0.232
I 0.884 0.369 0.369
I 0.617 0.132 0.869
I 0.112 0.863 0.637
I 0.615 0.635 0.635
I 0.372 0.983 0.732
I 0.383 0.132 0.369
I 0.385 0.635 0.135
Na 0.966 0.716 0.783
Na 0.530 0.776 0.284
Na 0.034 0.716 0.283
Na 0.470 0.776 0.784
B 0.249 0.497 0.500
B 0.751 0.003 0.499
B 0.249 0.003 0.999
B 0.751 0.497 0.000

MP2020-corrected energy, Ry/atom: -0.4258
Space-group type: Pc
Formation enthalpy at 0 K, eV per atom: -1.959

# 2
First-principles (PBE) data for HgF2 after structural relaxation, as listed in Materials Project.

a b c (Å): 5.249 5.249 3.823
angles (deg): 90.00 90.00 90.00
Positions (direct):
F 0.194 0.806 0.500
F 0.694 0.694 0.000
F 0.306 0.306 0.000
F 0.806 0.194 0.500
Hg 0.500 0.500 0.500
Hg 0.000 0.000 0.000

MP2020-corrected energy, Ry/atom: -0.2260
Space-group type: P4_2/mnm
Formation enthalpy at 0 K, eV per atom: -1.697

# 3
First-principles (PBE) data for Er6TeO12 after structural relaxation, as listed in Materials Project.

a b c (Å): 9.713 6.414 6.572
angles (deg): 118.13 104.44 79.82
Positions (direct):
Er 0.339 0.942 0.799
Er 0.999 0.296 0.696
Er 0.661 0.058 0.201
Er 0.271 0.261 0.397
Er 0.729 0.739 0.603
Er 0.001 0.704 0.304
O 0.200 0.971 0.031
O 0.995 0.673 0.935
O 0.753 0.789 0.306
O 0.005 0.327 0.065
O 0.442 0.161 0.212
O 0.247 0.211 0.694
O 0.959 0.927 0.672
O 0.791 0.371 0.505
O 0.800 0.029 0.969
O 0.209 0.629 0.495
O 0.041 0.073 0.328
O 0.558 0.839 0.788
Te 0.000 0.000 0.000

MP2020-corrected energy, Ry/atom: -0.5936
Space-group type: P-1
Formation enthalpy at 0 K, eV per atom: -3.343

# 4
First-principles (PBE) data for Ti2Te3 after structural relaxation, as listed in Materials Project.

a b c (Å): 7.443 7.443 7.443
angles (deg): 54.21 54.21 54.21
Positions (direct):
Ti 0.000 0.000 0.000
Ti 0.500 0.500 0.500
Ti 0.840 0.840 0.840
Ti 0.160 0.160 0.160
Te 0.736 0.077 0.426
Te 0.574 0.264 0.923
Te 0.923 0.574 0.264
Te 0.426 0.736 0.077
Te 0.264 0.923 0.574
Te 0.077 0.426 0.736

MP2020-corrected energy, Ry/atom: -0.4425
Space-group type: R-3
Formation enthalpy at 0 K, eV per atom: -0.976